(1)
La2MgCrO6: optimized geometry, PBE with a Hubbard U.

abc: 5.5254 5.5254 5.5254
angles: 60.93 60.93 60.93
Closest atoms and distances in Å follow each position.
Fractional positions:
La (0.7517, 0.7517, 0.7517)  3 O 2.41
La (0.2483, 0.2483, 0.2483)  3 O 2.41
Mg (0.5000, 0.5000, 0.5000)  6 O 2.07
Cr (0.0000, 0.0000, 0.0000)  6 O 1.94
O (0.3112, 0.7640, 0.1728)  1 Cr 1.94, 1 Mg 2.07
O (0.7640, 0.1728, 0.3112)  1 Cr 1.94, 1 Mg 2.07
O (0.1728, 0.3112, 0.7640)  1 Cr 1.94, 1 Mg 2.07
O (0.6888, 0.2360, 0.8272)  1 Cr 1.94, 1 Mg 2.07
O (0.8272, 0.6888, 0.2360)  1 Cr 1.94, 1 Mg 2.07
O (0.2360, 0.8272, 0.6888)  1 Cr 1.94, 1 Mg 2.07

Results
energy relative to the elements = -3.213 eV per atom
SG = R-3 (148)
V = 121.8 Å³/f.u.

***

(2)
LaMgCrSbO6: optimized geometry, PBE with a Hubbard U.

abc: 5.6986 5.4837 9.6452
angles: 55.64 90.00 90.00
Closest atoms and distances in Å follow each position.
Fractional positions:
La (0.3021, 0.7625, 0.2494)  4 O 2.37-2.50
La (0.6979, 0.7625, 0.7494)  4 O 2.37-2.50
Mg (0.8034, 0.2251, 0.2529)  4 O 2.14-2.26
Mg (0.1966, 0.2251, 0.7529)  4 O 2.14-2.26
Cr (0.2440, 0.9994, 0.5011)  6 O 2.02-2.13
Cr (0.7560, 0.9994, 0.0011)  6 O 2.02-2.13
Sb (0.2451, 0.5012, 0.9985)  6 O 2.04-2.17
Sb (0.7549, 0.5012, 0.4985)  6 O 2.04-2.17
O (0.8172, 0.3463, 0.7510)  1 Cr 2.09, 1 Sb 2.11, 1 Mg 2.26
O (0.0371, 0.1475, 0.0609)  1 Cr 2.02, 1 Sb 2.05
O (0.0344, 0.7783, 0.4342)  1 Sb 2.04, 1 Cr 2.05
O (0.5672, 0.2462, 0.0664)  1 Cr 2.08, 1 Sb 2.17, 1 Mg 2.20
O (0.5608, 0.8832, 0.4381)  1 Cr 2.11, 1 Sb 2.14, 1 Mg 2.20
O (0.2843, 0.6102, 0.7476)  1 Cr 2.13, 1 Mg 2.14, 1 Sb 2.15
O (0.1828, 0.3463, 0.2510)  1 Cr 2.09, 1 Sb 2.11, 1 Mg 2.26
O (0.9629, 0.1475, 0.5609)  1 Cr 2.02, 1 Sb 2.05
O (0.9656, 0.7783, 0.9342)  1 Sb 2.04, 1 Cr 2.05
O (0.4328, 0.2462, 0.5664)  1 Cr 2.08, 1 Sb 2.17, 1 Mg 2.20
O (0.4392, 0.8832, 0.9381)  1 Cr 2.11, 1 Sb 2.14, 1 Mg 2.20
O (0.7157, 0.6102, 0.2476)  1 Cr 2.13, 1 Mg 2.14, 1 Sb 2.15

Results
energy relative to the elements = -2.592 eV per atom
SG = Pc (7)
V = 124.4 Å³/f.u.

***

(3)
LaMgCrSnO6: optimized geometry, PBE with a Hubbard U.

abc: 5.6192 5.4458 9.5549
angles: 55.62 90.00 90.00
Closest atoms and distances in Å follow each position.
Fractional positions:
La (0.2913, 0.7603, 0.2497)  4 O 2.35-2.52
La (0.7087, 0.7603, 0.7497)  4 O 2.35-2.52
Mg (0.8063, 0.2293, 0.2486)  5 O 2.15-2.41
Mg (0.1937, 0.2293, 0.7486)  5 O 2.15-2.41
Cr (0.2483, 0.9997, 0.5005)  6 O 1.99-2.09
Cr (0.7517, 0.9997, 0.0005)  6 O 1.99-2.09
Sn (0.2492, 0.5012, 0.9976)  6 O 2.05-2.12
Sn (0.7508, 0.5012, 0.4976)  6 O 2.05-2.12
O (0.8116, 0.3375, 0.7541)  1 Cr 2.04, 1 Sn 2.11, 1 Mg 2.23
O (0.0280, 0.1485, 0.0623)  1 Cr 1.99, 1 Sn 2.07
O (0.0379, 0.7760, 0.4410)  1 Cr 2.00, 1 Sn 2.05
O (0.5628, 0.2497, 0.0626)  1 Cr 2.06, 1 Sn 2.10, 1 Mg 2.20
O (0.5584, 0.8817, 0.4366)  1 Cr 2.07, 1 Sn 2.11, 1 Mg 2.22
O (0.2826, 0.6160, 0.7468)  1 Cr 2.09, 1 Sn 2.12, 1 Mg 2.15
O (0.1884, 0.3375, 0.2541)  1 Cr 2.04, 1 Sn 2.11, 1 Mg 2.23
O (0.9720, 0.1485, 0.5623)  1 Cr 1.99, 1 Sn 2.07
O (0.9621, 0.7760, 0.9410)  1 Cr 2.00, 1 Sn 2.05
O (0.4372, 0.2497, 0.5626)  1 Cr 2.06, 1 Sn 2.10, 1 Mg 2.20
O (0.4416, 0.8817, 0.9366)  1 Cr 2.07, 1 Sn 2.11, 1 Mg 2.22
O (0.7174, 0.6160, 0.2468)  1 Cr 2.09, 1 Sn 2.12, 1 Mg 2.15

Results
energy relative to the elements = -2.748 eV per atom
SG = Pc (7)
V = 120.7 Å³/f.u.

***

(4)
LaMgTiCrO6: optimized geometry, PBE with a Hubbard U.

abc: 5.5053 5.3700 9.3899
angles: 55.20 90.00 90.00
Closest atoms and distances in Å follow each position.
Fractional positions:
La (0.2135, 0.7424, 0.2505)  4 O 2.36-2.53
La (0.7865, 0.7424, 0.7505)  4 O 2.36-2.53
Mg (0.7033, 0.2651, 0.2520)  4 O 2.14-2.31
Mg (0.2967, 0.2651, 0.7520)  4 O 2.14-2.31
Ti (0.2564, 0.5022, 0.9988)  6 O 1.93-2.02
Ti (0.7436, 0.5022, 0.4988)  6 O 1.93-2.02
Cr (0.2489, 0.9991, 0.5008)  6 O 1.99-2.06
Cr (0.7511, 0.9991, 0.0008)  6 O 1.99-2.06
O (0.7064, 0.1773, 0.7471)  1 Ti 1.97, 1 Cr 2.01
O (0.4687, 0.7317, 0.0468)  1 Ti 1.93, 1 Cr 1.99
O (0.4733, 0.3324, 0.4491)  1 Ti 1.94, 1 Cr 1.99
O (0.9482, 0.6282, 0.0580)  1 Ti 2.02, 1 Cr 2.05, 1 Mg 2.21
O (0.9413, 0.2506, 0.4435)  1 Ti 2.02, 1 Cr 2.04, 1 Mg 2.19
O (0.2285, 0.8710, 0.7533)  1 Ti 2.01, 1 Cr 2.06, 1 Mg 2.14
O (0.2936, 0.1773, 0.2471)  1 Ti 1.97, 1 Cr 2.01
O (0.5313, 0.7317, 0.5468)  1 Ti 1.93, 1 Cr 1.99
O (0.5267, 0.3324, 0.9491)  1 Ti 1.94, 1 Cr 1.99
O (0.0518, 0.6282, 0.5580)  1 Ti 2.02, 1 Cr 2.05, 1 Mg 2.21
O (0.0587, 0.2506, 0.9435)  1 Ti 2.02, 1 Cr 2.04, 1 Mg 2.19
O (0.7715, 0.8710, 0.2533)  1 Ti 2.01, 1 Cr 2.06, 1 Mg 2.14

Results
energy relative to the elements = -3.205 eV per atom
SG = Pc (7)
V = 114.0 Å³/f.u.

***

(5)
LaMnCrO6: optimized geometry, PBE with a Hubbard U.

abc: 5.3737 5.4889 5.2678
angles: 61.85 119.63 87.52
Closest atoms and distances in Å follow each position.
Fractional positions:
La (0.7488, 0.2839, 0.4889)  8 O 2.46-2.75
Mn (0.4994, 0.0402, 0.9819)  5 O 1.82-2.03
Cr (0.9925, 0.5557, 0.9723)  3 O 1.75-1.78
O (0.2985, 0.2418, 0.4976)  1 Mn 1.85, 1 Cr 2.02
O (0.2243, 0.2706, 0.9663)  1 Mn 1.85, 1 Cr 1.98
O (0.7765, 0.7163, 0.0596)  1 Cr 1.78
O (0.2270, 0.7677, 0.9680)  1 Cr 1.75
O (0.7791, 0.2217, 0.0547)  1 Mn 1.82
O (0.7141, 0.7435, 0.5112)  1 Cr 1.76

Results
ΔE to the lowest computed polymorph = 0 meV/atom
energy relative to the elements = -2.232 eV per atom
SG = P1 (1)
V = 111.1 Å³/f.u.

***

(6)
Sr3LaMnCrO8: optimized geometry, PBE with a Hubbard U.

abc: 5.4808 12.5631 5.4943
angles: 90.00 90.00 90.00
Closest atoms and distances in Å follow each position.
Fractional positions:
Sr (0.5000, 0.1446, 0.0000)  5 O 2.44-2.66
Sr (0.5000, 0.6446, 0.5000)  5 O 2.44-2.66
Sr (0.0000, 0.1421, 0.5000)  9 O 2.48-2.76
Sr (0.0000, 0.6421, 0.0000)  9 O 2.48-2.76
Sr (0.0000, 0.3558, 0.0000)  9 O 2.51-2.75
Sr (0.0000, 0.8558, 0.5000)  9 O 2.51-2.75
La (0.5000, 0.3589, 0.5000)  5 O 2.37-2.59
La (0.5000, 0.8589, 0.0000)  5 O 2.37-2.59
Mn (0.0000, 0.5017, 0.5000)  6 O 1.90-2.03
Mn (0.0000, 0.0017, 0.0000)  6 O 1.90-2.03
Cr (0.5000, 0.0019, 0.5000)  6 O 1.98-2.12
Cr (0.5000, 0.5019, 0.0000)  6 O 1.98-2.12
O (0.0000, 0.3398, 0.5000)  1 Mn 2.03
O (0.9999, 0.8398, 0.0000)  1 Mn 2.03
O (0.5000, 0.3390, 0.0000)  1 Cr 2.05
O (0.5000, 0.8390, 0.5000)  1 Cr 2.05
O (0.5000, 0.1704, 0.5000)  1 Cr 2.12, 1 La 2.37
O (0.5000, 0.6704, 0.0000)  1 Cr 2.12, 1 La 2.37
O (0.0000, 0.1564, 0.0000)  1 Mn 1.94
O (0.0000, 0.6564, 0.5000)  1 Mn 1.94
O (0.2481, 0.4974, 0.7415)  1 Mn 1.90, 1 Cr 1.98
O (0.2481, 0.9974, 0.2415)  1 Mn 1.90, 1 Cr 1.98
O (0.7519, 0.4974, 0.2585)  1 Mn 1.90, 1 Cr 1.98
O (0.7519, 0.9974, 0.7585)  1 Mn 1.90, 1 Cr 1.98
O (0.7519, 0.4974, 0.7415)  1 Mn 1.90, 1 Cr 1.98
O (0.7519, 0.9974, 0.2415)  1 Mn 1.90, 1 Cr 1.98
O (0.2481, 0.4974, 0.2585)  1 Mn 1.90, 1 Cr 1.98
O (0.2481, 0.9974, 0.7585)  1 Mn 1.90, 1 Cr 1.98

Results
energy relative to the elements = -2.952 eV per atom
V = 189.2 Å³/f.u.

***

(7)
LaMnZnCrO6: optimized geometry, PBE with a Hubbard U.

abc: 5.4536 5.3347 9.3198
angles: 55.32 90.00 90.00
Closest atoms and distances in Å follow each position.
Fractional positions:
La (0.2181, 0.7417, 0.2502)  4 O 2.34-2.55
La (0.7819, 0.7417, 0.7502)  4 O 2.34-2.55
Mn (0.2547, 0.5005, 0.0001)  6 O 1.91-2.00
Mn (0.7453, 0.5005, 0.5001)  6 O 1.91-2.00
Zn (0.7094, 0.2646, 0.2526)  4 O 2.11-2.30
Zn (0.2906, 0.2646, 0.7526)  4 O 2.11-2.30
Cr (0.2514, 0.0004, 0.5013)  6 O 1.98-2.06
Cr (0.7486, 0.0004, 0.0013)  6 O 1.98-2.06
O (0.7020, 0.1789, 0.7447)  1 Mn 1.94, 1 Cr 2.02
O (0.4708, 0.7232, 0.0496)  1 Mn 1.91, 1 Cr 1.98
O (0.4797, 0.3355, 0.4452)  1 Mn 1.91, 1 Cr 1.99
O (0.9515, 0.6293, 0.0576)  1 Mn 1.98, 1 Cr 2.06, 1 Zn 2.19
O (0.9435, 0.2550, 0.4435)  1 Mn 1.99, 1 Cr 2.03, 1 Zn 2.17
O (0.2303, 0.8709, 0.7551)  1 Mn 2.00, 1 Cr 2.06, 1 Zn 2.11
O (0.2980, 0.1789, 0.2447)  1 Mn 1.94, 1 Cr 2.02
O (0.5292, 0.7232, 0.5496)  1 Mn 1.91, 1 Cr 1.98
O (0.5203, 0.3355, 0.9452)  1 Mn 1.91, 1 Cr 1.99
O (0.0485, 0.6293, 0.5576)  1 Mn 1.98, 1 Cr 2.06, 1 Zn 2.19
O (0.0565, 0.2550, 0.9435)  1 Mn 1.99, 1 Cr 2.03, 1 Zn 2.17
O (0.7697, 0.8709, 0.2551)  1 Mn 2.00, 1 Cr 2.06, 1 Zn 2.11

Results
energy relative to the elements = -2.413 eV per atom
SG = Pc (7)
V = 111.5 Å³/f.u.

***

(8)
Sr3LaCr2Mo2O12: optimized geometry, PBE with a Hubbard U.

abc: 5.5997 5.7273 7.9907
angles: 89.77 90.00 90.00
Closest atoms and distances in Å follow each position.
Fractional positions:
Sr (0.0000, 0.0004, 0.7552)  7 O 2.54-2.83
Sr (0.5000, 0.5038, 0.2463)  7 O 2.54-2.82
Sr (0.0000, 0.9917, 0.2445)  7 O 2.56-2.83
La (0.5000, 0.5038, 0.7647)  5 O 2.43-2.69
Cr (0.0000, 0.4986, 0.0002)  6 O 1.99-2.03
Cr (0.5000, 0.0013, 0.5001)  6 O 1.99-2.04
Mo (0.0000, 0.5004, 0.4992)  6 O 1.99-2.03
Mo (0.5000, 0.0013, 0.0026)  6 O 2.04-2.09
O (0.0000, 0.4390, 0.2512)  1 Mo 2.01, 1 Cr 2.03
O (0.5000, 0.9276, 0.7468)  1 Cr 2.01, 1 Mo 2.09
O (0.0000, 0.5574, 0.7492)  1 Mo 2.03, 1 Cr 2.03
O (0.5000, 0.0599, 0.2539)  1 Cr 1.99, 1 Mo 2.04
O (0.2511, 0.2564, 0.5381)  1 Mo 2.01, 1 Cr 2.04
O (0.7469, 0.7391, 0.0232)  1 Cr 1.99, 1 Mo 2.05
O (0.7489, 0.2564, 0.5381)  1 Mo 2.01, 1 Cr 2.04
O (0.2531, 0.7391, 0.0232)  1 Cr 1.99, 1 Mo 2.05
O (0.7538, 0.7491, 0.4714)  1 Mo 1.99, 1 Cr 2.04
O (0.2561, 0.2628, 0.9604)  1 Cr 2.00, 1 Mo 2.05
O (0.2462, 0.7491, 0.4714)  1 Mo 1.99, 1 Cr 2.04
O (0.7439, 0.2628, 0.9604)  1 Cr 2.00, 1 Mo 2.05

Results
energy relative to the elements = -2.775 eV per atom
SG = Pm (6)
V = 256.3 Å³/f.u.

***

(9)
NaLaZrCrO6: optimized geometry, PBE with a Hubbard U.

abc: 5.6476 5.6476 5.6476
angles: 60.00 60.00 60.00
Closest atoms and distances in Å follow each position.
Fractional positions:
Na (0.2500, 0.2500, 0.2500)  12 O 2.82
La (0.7500, 0.7500, 0.7500)  12 O 2.82
Zr (0.5000, 0.5000, 0.5000)  6 O 2.07
Cr (0.0000, 0.0000, 0.0000)  6 O 1.92
O (0.7594, 0.2406, 0.2406)  1 Cr 1.92, 1 Zr 2.07
O (0.2406, 0.7594, 0.7594)  1 Cr 1.92, 1 Zr 2.07
O (0.7594, 0.2406, 0.7594)  1 Cr 1.92, 1 Zr 2.07
O (0.2406, 0.7594, 0.2406)  1 Cr 1.92, 1 Zr 2.07
O (0.7594, 0.7594, 0.2406)  1 Cr 1.92, 1 Zr 2.07
O (0.2406, 0.2406, 0.7594)  1 Cr 1.92, 1 Zr 2.07

Results
energy relative to the elements = -2.924 eV per atom
SG = F-43m (216)
V = 127.4 Å³/f.u.

***

(10)
La2NbCrO6: optimized geometry, PBE with a Hubbard U.

abc: 5.7449 5.7449 5.7449
angles: 119.78 119.78 90.38
Closest atoms and distances in Å follow each position.
Fractional positions:
La (0.7500, 0.2500, 0.5000)  4 O 2.47
La (0.2500, 0.7500, 0.5000)  4 O 2.47
Nb (0.5000, 0.5000, 0.0000)  6 O 2.05
Cr (0.0000, 0.0000, 0.0000)  6 O 2.00-2.21
O (0.7529, 0.7529, 0.0000)  1 Cr 2.00, 1 Nb 2.05
O (0.2471, 0.2471, 0.0000)  1 Cr 2.00, 1 Nb 2.05
O (0.1832, 0.6631, 0.8463)  1 Nb 2.05, 1 Cr 2.21
O (0.8168, 0.3369, 0.1537)  1 Nb 2.05, 1 Cr 2.21
O (0.3369, 0.1832, 0.5201)  1 Nb 2.05, 1 Cr 2.21
O (0.6631, 0.8168, 0.4799)  1 Nb 2.05, 1 Cr 2.21

Results
energy relative to the elements = -3.132 eV per atom
SG = I4/m (87)
V = 134.5 Å³/f.u.

***

(11)
Sr4La4CrNi3O15: optimized geometry, PBE with a Hubbard U.

abc: 7.7044 3.8446 13.3073
angles: 106.76 89.56 89.84
Closest atoms and distances in Å follow each position.
Fractional positions:
Sr (0.2462, 0.6521, 0.1508)  3 O 2.41-2.55
Sr (0.2538, 0.3479, 0.8492)  3 O 2.41-2.55
Sr (0.4956, 0.6396, 0.6399)  5 O 2.47-2.66
Sr (0.0044, 0.3604, 0.3601)  5 O 2.47-2.66
La (0.0047, 0.6376, 0.6374)  7 O 2.37-2.64
La (0.4953, 0.3624, 0.3626)  7 O 2.37-2.64
La (0.7541, 0.6481, 0.1424)  4 O 2.40-2.66
La (0.7459, 0.3519, 0.8576)  4 O 2.40-2.66
Cr (0.7500, 0.0000, 0.5000)  4 O 1.90-1.92
Ni (0.0012, 0.9969, 0.9980)  4 O 1.94-2.15
Ni (0.2500, 0.0000, 0.5000)  6 O 1.92-2.05
Ni (0.4988, 0.0031, 0.0020)  4 O 1.94-2.15
O (0.0378, 0.4947, 0.9962)  2 Ni 1.94
O (0.9904, 0.8274, 0.8233)  1 Ni 2.23, 1 La 2.37
O (0.2652, 0.8393, 0.3393)  1 Ni 2.05
O (0.2500, 0.5000, 0.5000)  2 Ni 1.92
O (0.2348, 0.1607, 0.6607)  1 Ni 2.05
O (0.4622, 0.5053, 0.0038)  2 Ni 1.94
O (0.5096, 0.1726, 0.1767)  1 Ni 2.23, 1 La 2.37
O (0.5040, 0.9965, 0.4963)  1 Cr 1.90, 1 Ni 1.96
O (0.5058, 0.8377, 0.8332)  1 Ni 2.15
O (0.7500, 0.0000, 0.0000)  2 Ni 1.94
O (0.7436, 0.8324, 0.3306)  1 Cr 2.16, 1 La 2.40
O (0.7500, 0.5000, 0.5000)  2 Cr 1.92
O (0.7564, 0.1676, 0.6694)  1 Cr 2.16, 1 La 2.40
O (0.9942, 0.1623, 0.1668)  1 Ni 2.15
O (0.9960, 0.0035, 0.5037)  1 Cr 1.90, 1 Ni 1.96

Results
energy relative to the elements = -2.819 eV per atom
SG = P-1 (2)
V = 377.4 Å³/f.u.

***

(12)
La2Cr2O5: optimized geometry, PBE with a Hubbard U.

abc: 8.8954 8.8954 8.8954
angles: 143.59 142.25 53.45
Closest atoms and distances in Å follow each position.
Fractional positions:
La (0.8920, 0.3854, 0.5121)  4 O 2.30-2.55
La (0.1080, 0.6200, 0.4933)  4 O 2.30-2.55
La (0.3733, 0.8854, 0.4933)  4 O 2.30-2.55
La (0.6267, 0.1200, 0.5121)  4 O 2.30-2.55
Cr (0.0000, 0.0088, 0.0088)  6 O 2.03-2.04
Cr (0.5000, 0.5088, 0.0088)  6 O 2.03-2.04
Cr (0.7425, 0.7458, 0.9883)  3 O 2.05-2.20
Cr (0.2575, 0.2458, 0.0032)  3 O 2.05-2.20
O (0.2762, 0.2772, 0.5094)  2 Cr 2.03
O (0.7238, 0.2331, 0.0010)  2 Cr 2.03
O (0.2678, 0.7772, 0.0010)  2 Cr 2.03
O (0.7322, 0.7331, 0.5094)  2 Cr 2.03
O (0.9533, 0.8981, 0.1019)  2 Cr 2.04-2.05
O (0.0467, 0.1486, 0.9448)  2 Cr 2.04-2.05
O (0.2962, 0.3981, 0.9448)  2 Cr 2.04-2.05
O (0.7038, 0.6486, 0.1019)  2 Cr 2.04-2.05
O (0.6264, 0.3470, 0.4734)  2 Cr 2.20-2.31, 2 La 2.30
O (0.3736, 0.8470, 0.7206)  2 Cr 2.20-2.31, 2 La 2.30

Results
ΔE to the lowest computed polymorph = 5 meV/atom
energy relative to the elements = -2.877 eV per atom
SG = Ima2 (46)
V = 127.1 Å³/f.u.